Entry 1:
DFT (PBE-GGA) results for NaTlHg2 after structural relaxation.

a b c (Å): 7.598 7.598 7.598
angles (deg): 90.00 90.00 90.00
Space group Fm-3m (No. 225)
Inequivalent atoms, fractional coordinates:
Na 0.000 0.000 0.000 x4
Tl 0.000 0.000 0.500 x4
Hg 0.250 0.250 0.250 x8

Calculated values
The energy of formation from the pure elements comes out at -168 meV per atom. The calculation puts the raw total energy at -1.24 eV/atom.



Entry 2:
DFT (PBE-GGA) results for Nb2Hg2O7 after structural relaxation.

a b c (Å): 10.658 10.658 10.658
angles (deg): 90.00 90.00 90.00
Space group Fd-3m (No. 227, origin choice 2)
Inequivalent atoms, fractional coordinates:
Nb 0.000 0.000 0.000 x16
Hg 0.000 0.000 0.500 x16
O 0.064 0.375 0.375 x48
O 0.125 0.125 0.625 x8

Calculated values
The energy of formation from the pure elements comes out at -2159 meV per atom. The calculation puts the raw total energy at -6.76 eV/atom.



Entry 3:
DFT (PBE-GGA) results for NdHg after structural relaxation.

a b c (Å): 3.843 3.843 3.843
angles (deg): 90.00 90.00 90.00
Space group Pm-3m (No. 221)
Inequivalent atoms, fractional coordinates:
Nd 0.000 0.000 0.000 x1
Hg 0.500 0.500 0.500 x1

Calculated values
The energy of formation from the pure elements comes out at -476 meV per atom. The calculation puts the raw total energy at -3.01 eV/atom.



Entry 4:
DFT (PBE-GGA) results for Nd2HgO4 after structural relaxation.

a b c (Å): 14.026 3.844 10.355
angles (deg): 90.00 121.01 90.00
Space group C2/m (No. 12)
Inequivalent atoms, fractional coordinates:
Nd 0.120 0.000 0.460 x4
Nd 0.159 0.500 0.798 x4
Hg 0.115 0.500 0.161 x4
O 0.037 0.500 0.279 x4
O 0.080 0.000 0.654 x4
O 0.204 0.500 0.058 x4
O 0.228 0.500 0.611 x4

Calculated values
The energy of formation from the pure elements comes out at -2935 meV per atom. The calculation puts the raw total energy at -6.78 eV/atom.